# 1
La4Ga3FeO12 | PBE+U | optimized geometry

Output
The energy above the most stable polymorph in this dataset is 0.000 eV/atom. For the total magnetic moment, the calculation gives 0.001 Bohr magnetons per cell.

abc: 5.5978 9.6575 18.4952
angles: 99.97 90.04 90.04
With the nearest neighbours (Å) after each atom.
Fractional coordinates of all 80 atoms:
O: 0.5164 0.9569 0.7921  2 Ga 2.02-2.03
O: 0.4836 0.0430 0.2079  2 Ga 2.02-2.03
O: 0.9838 0.4587 0.7935  1 Ga 2.01, 1 Fe 2.04
O: 0.9838 0.2087 0.0435  1 Ga 2.00, 1 Fe 2.04
O: 0.2820 0.0377 0.4189  2 Ga 2.01-2.03
O: 0.0160 0.7912 0.9566  1 Ga 2.00, 1 Fe 2.04
O: 0.7149 0.2729 0.6845  1 Ga 2.00, 1 Fe 2.04
O: 0.7822 0.4604 0.5818  1 Ga 2.01, 1 Fe 2.03
O: 0.2181 0.2279 0.3155  2 Ga 2.02
O: 0.2181 0.7278 0.8154  2 Ga 2.02
O: 0.2179 0.0396 0.9182  1 Ga 2.01, 1 Fe 2.03
O: 0.7819 0.9605 0.0818  1 Ga 2.01, 1 Fe 2.03
O: 0.2181 0.5395 0.4182  1 Ga 2.01, 1 Fe 2.03
O: 0.7819 0.5222 0.9346  2 Ga 2.02
O: 0.4837 0.2931 0.9579  2 Ga 2.02-2.03
O: 0.7149 0.7730 0.1846  1 Ga 2.00, 1 Fe 2.04
O: 0.2182 0.4778 0.0654  2 Ga 2.02
O: 0.7179 0.2124 0.3311  2 Ga 2.01-2.02
O: 0.2181 0.9778 0.5654  2 Ga 2.02
O: 0.2849 0.9771 0.0655  1 Ga 2.00, 1 Fe 2.03
O: 0.9838 0.9589 0.2935  1 Ga 2.00, 1 Fe 2.04
O: 0.2820 0.2876 0.1689  2 Ga 2.02
O: 0.7179 0.7123 0.8311  2 Ga 2.01-2.03
O: 0.7820 0.2105 0.8318  1 Ga 2.01, 1 Fe 2.03
O: 0.5163 0.7069 0.0421  2 Ga 2.02-2.03
O: 0.5165 0.2069 0.5421  2 Ga 2.02-2.03
O: 0.2848 0.2271 0.8155  1 Ga 2.00, 1 Fe 2.04
O: 0.2821 0.5377 0.9189  2 Ga 2.01-2.02
O: 0.2179 0.7896 0.1682  1 Ga 2.01, 1 Fe 2.03
O: 0.7820 0.7105 0.3318  1 Ga 2.01, 1 Fe 2.03
O: 0.9839 0.7086 0.5435  1 Ga 2.01, 1 Fe 2.04
O: 0.0161 0.0412 0.7065  1 Ga 2.00, 1 Fe 2.04
O: 0.4837 0.5431 0.7079  2 Ga 2.02-2.03
O: 0.5164 0.4569 0.2921  2 Ga 2.02-2.03
O: 0.7153 0.5229 0.4345  1 Ga 2.00, 1 Fe 2.04
O: 0.4837 0.7931 0.4579  2 Ga 2.02-2.03
O: 0.7819 0.0222 0.4345  2 Ga 2.02
O: 0.2820 0.7876 0.6689  2 Ga 2.01-2.02
O: 0.2852 0.4771 0.5654  1 Ga 2.00, 1 Fe 2.04
O: 0.7180 0.4624 0.0811  2 Ga 2.01-2.03
O: 0.0161 0.2912 0.4565  1 Ga 2.00, 1 Fe 2.04
O: 0.0161 0.5414 0.2065  1 Ga 2.01, 1 Fe 2.04
O: 0.2848 0.7271 0.3155  1 Ga 2.00, 1 Fe 2.04
O: 0.7150 0.0229 0.9345  1 Ga 2.00, 1 Fe 2.04
O: 0.7180 0.9623 0.5811  2 Ga 2.02-2.03
O: 0.2179 0.2895 0.6682  1 Ga 2.01, 1 Fe 2.03
O: 0.7819 0.2722 0.1846  2 Ga 2.02
O: 0.7819 0.7721 0.6845  2 Ga 2.02
Ga: 0.5000 0.7500 0.7500  6 O 2.01-2.02
Ga: 0.0001 0.3750 0.1250  6 O 2.00-2.03
Ga: 0.5000 0.8751 0.1250  6 O 2.00-2.03
Ga: 0.4999 0.1250 0.8749  6 O 2.00-2.03
Ga: 0.0000 0.8750 0.6250  6 O 2.00-2.03
Ga: 0.5001 0.3751 0.6249  6 O 2.00-2.03
Ga: 0.5000 0.0001 0.4999  6 O 2.01-2.02
Ga: 0.5002 0.6249 0.3750  6 O 2.00-2.03
Ga: 0.5000 0.2499 0.2501  6 O 2.01-2.02
Ga: 0.5000 0.5000 0.0000  6 O 2.01-2.02
Ga: 0.0001 0.6250 0.8751  6 O 2.00-2.03
Ga: 0.9999 0.1251 0.3750  6 O 2.00-2.03
La: 0.9677 0.1853 0.5642  6 O 2.41-2.65
La: 0.5315 0.1858 0.0649  6 O 2.40-2.65
La: 0.4685 0.0641 0.6851  6 O 2.40-2.65
La: 0.9677 0.9352 0.8142  6 O 2.41-2.65
La: 0.4684 0.8141 0.9351  6 O 2.40-2.65
La: 0.5316 0.9360 0.3149  6 O 2.40-2.65
La: 0.5316 0.4359 0.8149  6 O 2.40-2.65
La: 0.0322 0.8147 0.4358  6 O 2.41-2.65
La: 0.4685 0.5642 0.1851  6 O 2.40-2.65
La: 0.9676 0.6853 0.0643  6 O 2.41-2.65
La: 0.4686 0.3141 0.4350  6 O 2.40-2.65
La: 0.0323 0.5647 0.6858  6 O 2.41-2.65
La: 0.0322 0.0647 0.1858  6 O 2.41-2.65
La: 0.5317 0.6858 0.5649  6 O 2.40-2.65
La: 0.0322 0.3147 0.9358  6 O 2.41-2.65
La: 0.9677 0.4353 0.3142  6 O 2.41-2.65
Fe: 0.0003 0.9998 0.0000  6 O 2.03-2.04
Fe: 0.9998 0.2500 0.7500  6 O 2.03-2.04
Fe: 0.0000 0.7503 0.2500  6 O 2.03-2.04
Fe: 0.0001 0.4999 0.4999  6 O 2.03-2.04

---

# 2
MnGaFeO4 | PBE+U | optimized geometry

Output
As for the space group: Imma (74). For the total magnetic moment, the calculation gives 20.000 Bohr magnetons per cell.

abc: 6.1180 6.1180 6.1180
angles: 120.17 119.96 89.88
With the nearest neighbours (Å) after each atom.
Fractional coordinates of all 14 atoms:
Mn: 0.3756 0.1256 0.2500  4 O 2.08
Mn: 0.6244 0.8744 0.7500  4 O 2.08
Ga: 0.0000 0.0000 0.5000  6 O 2.03-2.04
Ga: 0.0000 0.5000 0.0000  6 O 2.03-2.04
Fe: 0.0000 0.5000 0.5000  6 O 2.06-2.07
Fe: 0.5000 0.5000 0.0000  6 O 2.06-2.07
O: 0.2076 0.7375 0.4701  2 Ga 2.04, 1 Fe 2.07, 1 Mn 2.08
O: 0.2326 0.2625 0.9701  2 Ga 2.04, 1 Fe 2.07, 1 Mn 2.08
O: 0.2343 0.2598 0.5255  1 Ga 2.03, 2 Fe 2.06, 1 Mn 2.08
O: 0.2343 0.7087 0.9745  1 Ga 2.03, 2 Fe 2.06, 1 Mn 2.08
O: 0.7657 0.2913 0.0255  1 Ga 2.03, 2 Fe 2.06, 1 Mn 2.08
O: 0.7657 0.7402 0.4745  1 Ga 2.03, 2 Fe 2.06, 1 Mn 2.08
O: 0.7674 0.7375 0.0299  2 Ga 2.04, 1 Fe 2.07, 1 Mn 2.08
O: 0.7924 0.2625 0.5299  2 Ga 2.04, 1 Fe 2.07, 1 Mn 2.08

---

# 3
Ga13Fe11O32 | PBE+U | optimized geometry

Output
As for the space group: C2/m (12). For the total magnetic moment, the calculation gives 46.987 Bohr magnetons per cell.

abc: 5.9569 5.9569 20.1968
angles: 99.41 99.41 58.86
With the nearest neighbours (Å) after each atom.
Fractional coordinates of all 56 atoms:
Ga: 0.0000 0.0000 0.0000  6 O 2.03-2.04
Ga: 0.0891 0.0891 0.2821  4 O 1.87-1.93
Ga: 0.1610 0.1610 0.4699  4 O 1.83-1.89
Ga: 0.2475 0.2475 0.7491  6 O 2.00-2.05
Ga: 0.3414 0.3414 0.0275  4 O 1.86-1.91
Ga: 0.3707 0.3707 0.6243  6 O 2.01-2.03
Ga: 0.4130 0.4130 0.2222  4 O 1.89-1.90
Ga: 0.5870 0.5870 0.7778  4 O 1.89-1.90
Ga: 0.6293 0.6293 0.3757  6 O 2.01-2.03
Ga: 0.6586 0.6586 0.9725  4 O 1.86-1.91
Ga: 0.7525 0.7525 0.2509  6 O 2.00-2.05
Ga: 0.8390 0.8390 0.5301  4 O 1.83-1.89
Ga: 0.9109 0.9109 0.7179  4 O 1.87-1.93
Fe: 0.1182 0.6314 0.8743  6 O 2.08-2.12
Fe: 0.1230 0.1230 0.8744  6 O 2.08-2.12
Fe: 0.1404 0.6191 0.3790  6 O 2.03-2.16
Fe: 0.3686 0.8818 0.1257  6 O 2.08-2.12
Fe: 0.3809 0.8596 0.6210  6 O 2.03-2.16
Fe: 0.5000 0.5000 0.5000  6 O 2.11-2.12
Fe: 0.6191 0.1404 0.3790  6 O 2.03-2.16
Fe: 0.6314 0.1182 0.8743  6 O 2.08-2.12
Fe: 0.8596 0.3809 0.6210  6 O 2.03-2.16
Fe: 0.8770 0.8770 0.1256  6 O 2.08-2.12
Fe: 0.8818 0.3686 0.1257  6 O 2.08-2.12
O: 0.0500 0.5694 0.1903  2 Ga 1.90-2.03, 2 Fe 2.11-2.12
O: 0.0614 0.0614 0.1877  1 Ga 1.87, 3 Fe 2.08
O: 0.0723 0.0723 0.6880  2 Ga 1.88-2.00
O: 0.0751 0.5420 0.6855  3 Ga 1.93-2.05, 1 Fe 2.14
O: 0.1796 0.7039 0.0612  2 Ga 1.91-2.03, 2 Fe 2.10
O: 0.1815 0.1815 0.0604  2 Ga 1.90-2.04, 2 Fe 2.10
O: 0.1916 0.1916 0.5651  2 Ga 1.89-2.01, 2 Fe 2.11
O: 0.1956 0.6730 0.5650  2 Ga 1.88-2.03, 1 Fe 2.05
O: 0.2961 0.8204 0.9388  2 Ga 1.91-2.03, 2 Fe 2.10
O: 0.3105 0.3105 0.9338  1 Ga 1.86
O: 0.3136 0.3136 0.4371  1 Ga 1.83, 2 Fe 2.03
O: 0.3270 0.8044 0.4350  2 Ga 1.88-2.03, 1 Fe 2.05
O: 0.4272 0.4272 0.8099  2 Ga 1.89-2.03
O: 0.4306 0.9500 0.8097  2 Ga 1.90-2.03, 2 Fe 2.11-2.12
O: 0.4485 0.4485 0.3175  2 Ga 1.89-2.02, 2 Fe 2.08
O: 0.4580 0.9249 0.3145  3 Ga 1.93-2.05, 1 Fe 2.14
O: 0.5420 0.0751 0.6855  3 Ga 1.93-2.05, 1 Fe 2.14
O: 0.5515 0.5515 0.6825  2 Ga 1.89-2.02, 2 Fe 2.08
O: 0.5694 0.0500 0.1903  2 Ga 1.90-2.03, 2 Fe 2.11-2.12
O: 0.5728 0.5728 0.1901  2 Ga 1.89-2.03
O: 0.6730 0.1956 0.5650  2 Ga 1.88-2.03, 1 Fe 2.05
O: 0.6864 0.6864 0.5629  1 Ga 1.83, 2 Fe 2.03
O: 0.6895 0.6895 0.0662  1 Ga 1.86
O: 0.7039 0.1796 0.0612  2 Ga 1.91-2.03, 2 Fe 2.10
O: 0.8044 0.3270 0.4350  2 Ga 1.88-2.03, 1 Fe 2.05
O: 0.8084 0.8084 0.4349  2 Ga 1.89-2.01, 2 Fe 2.11
O: 0.8185 0.8185 0.9396  2 Ga 1.90-2.04, 2 Fe 2.10
O: 0.8204 0.2961 0.9388  2 Ga 1.91-2.03, 2 Fe 2.10
O: 0.9249 0.4580 0.3145  3 Ga 1.93-2.05, 1 Fe 2.14
O: 0.9277 0.9277 0.3120  2 Ga 1.88-2.00
O: 0.9386 0.9386 0.8123  1 Ga 1.87, 3 Fe 2.08
O: 0.9500 0.4306 0.8097  2 Ga 1.90-2.03, 2 Fe 2.11-2.12

---

# 4
Ga2FeO4 | PBE+U | optimized geometry

abc: 5.8747 8.4898 6.0744
angles: 90.00 90.01 90.00
With the nearest neighbours (Å) after each atom.
Fractional coordinates of all 28 atoms:
Fe: 0.7500 0.6250 0.0000  6 O 2.11-2.15
Fe: 0.7500 0.1250 0.5000  6 O 2.11-2.15
Fe: 0.2500 0.1250 0.5000  6 O 2.11-2.15
Fe: 0.2500 0.6250 0.0000  6 O 2.11-2.15
O: 0.7643 0.3775 0.5000  3 Ga 1.92-2.06, 1 Fe 2.15
O: 0.7357 0.8775 0.0000  3 Ga 1.92-2.06, 1 Fe 2.15
O: 0.7643 0.3725 0.0000  3 Ga 1.92-2.06, 1 Fe 2.15
O: 0.2356 0.3776 0.5000  3 Ga 1.92-2.05, 1 Fe 2.15
O: 0.0000 0.6102 0.7518  2 Ga 1.88-2.00
O: 0.2644 0.8724 0.5000  3 Ga 1.92-2.05, 1 Fe 2.15
O: 0.4999 0.1102 0.7482  2 Ga 1.88-2.00
O: 0.5000 0.6398 0.2482  2 Ga 1.88-2.00
O: 0.5000 0.6398 0.7518  2 Ga 1.88-2.00
O: 0.0000 0.1398 0.7482  2 Ga 1.88-2.00
O: 0.0000 0.6102 0.2482  2 Ga 1.88-2.00
O: 0.2356 0.3724 0.0000  3 Ga 1.92-2.06, 1 Fe 2.15
O: 0.0001 0.1398 0.2518  2 Ga 1.88-2.00
O: 0.5000 0.1102 0.2518  2 Ga 1.88-2.00
O: 0.2644 0.8776 0.0000  3 Ga 1.92-2.06, 1 Fe 2.15
O: 0.7357 0.8725 0.5000  3 Ga 1.92-2.06, 1 Fe 2.15
Ga: 0.0000 0.3750 0.7500  6 O 2.00-2.06
Ga: 0.0000 0.0108 0.0000  4 O 1.88-1.92
Ga: 0.5000 0.5107 0.5000  4 O 1.88-1.92
Ga: 0.5000 0.8750 0.7500  6 O 2.00-2.06
Ga: 0.5000 0.2392 0.0000  4 O 1.88-1.92
Ga: 0.5000 0.8750 0.2500  6 O 2.00-2.06
Ga: 0.0000 0.7392 0.5000  4 O 1.88-1.92
Ga: 0.0000 0.3750 0.2500  6 O 2.00-2.06

---

# 5
GaFe2O4 | PBE+U | optimized geometry

Output
As for the space group: Imma (74). For the total magnetic moment, the calculation gives 18.000 Bohr magnetons per cell.

abc: 6.0137 6.0137 6.0137
angles: 120.92 120.40 88.86
With the nearest neighbours (Å) after each atom.
Fractional coordinates of all 14 atoms:
Ga: 0.0000 0.0000 0.0000  6 O 2.03
Ga: 0.5000 0.0000 0.5000  6 O 2.03
Fe: 0.0000 0.0000 0.5000  6 O 2.07-2.16
Fe: 0.0000 0.5000 0.0000  6 O 2.07-2.16
Fe: 0.3827 0.6327 0.7500  4 O 1.92-1.96
Fe: 0.6173 0.3673 0.2500  4 O 1.92-1.96
O: 0.2263 0.2360 0.9904  3 Fe 1.92-2.07, 1 Ga 2.03
O: 0.2512 0.2321 0.4810  2 Fe 1.96-2.16, 2 Ga 2.03
O: 0.2512 0.7702 0.0190  2 Fe 1.96-2.16, 2 Ga 2.03
O: 0.2544 0.7640 0.4904  3 Fe 1.92-2.07, 1 Ga 2.03
O: 0.7456 0.2360 0.5096  3 Fe 1.92-2.07, 1 Ga 2.03
O: 0.7488 0.2298 0.9810  2 Fe 1.96-2.16, 2 Ga 2.03
O: 0.7488 0.7679 0.5190  2 Fe 1.96-2.16, 2 Ga 2.03
O: 0.7737 0.7640 0.0096  3 Fe 1.92-2.07, 1 Ga 2.03

---

We obtain energy with MP2020 corrections values of -7.87 -7.78 -7.16 -6.97 -7.48 eV per atom for the records listed above, in that order.